A plane-wave DFT calculation with PBE+U was carried out for a geometry-optimized Li7Mn4CoO12 structure.

```
Li7Mn4CoO12
1.0
5.2033 -8.5734 0.0000
5.2033 8.5734 0.0000
-2.0122 0.0000 4.8313
Li Mn Co O
14 8 2 24
direct
0.0000 0.5000 0.5000
0.0802 0.4209 0.0014
0.1674 0.3343 0.4956
0.2474 0.2474 0.0139
0.2499 0.7501 0.0000
0.3343 0.1674 0.4956
0.4209 0.0802 0.0014
0.5000 0.0000 0.5000
0.5791 0.9198 0.9986
0.6657 0.8326 0.5044
0.7501 0.2499 0.0000
0.7526 0.7526 0.9861
0.8326 0.6657 0.5044
0.9198 0.5791 0.9986
0.0849 0.9151 0.0000
0.1667 0.8333 0.5000
0.3336 0.6664 0.5000
0.4148 0.5852 0.0000
0.5852 0.4148 0.0000
0.6664 0.3336 0.5000
0.8333 0.1667 0.5000
0.9151 0.0849 0.0000
0.0000 0.0000 0.5000
0.5000 0.5000 0.5000
0.0345 0.2004 0.7210
0.0571 0.7306 0.7384
0.1139 0.1139 0.2301
0.1321 0.6325 0.2795
0.2004 0.0345 0.7210
0.2303 0.5571 0.7375
0.2694 0.9429 0.2616
0.2980 0.4660 0.2742
0.3675 0.8679 0.7205
0.3969 0.3969 0.7470
0.4429 0.7697 0.2625
0.4660 0.2980 0.2742
0.5340 0.7020 0.7258
0.5571 0.2303 0.7375
0.6031 0.6031 0.2530
0.6325 0.1321 0.2795
0.7020 0.5340 0.7258
0.7306 0.0571 0.7384
0.7697 0.4429 0.2625
0.7996 0.9655 0.2790
0.8679 0.3675 0.7205
0.8861 0.8861 0.7699
0.9429 0.2694 0.2616
0.9655 0.7996 0.2790
```

***

A plane-wave DFT calculation with PBE+U was carried out for a geometry-optimized Li7Mn4CoO12 structure.

```
Li7Mn4CoO12
1.0
5.9174 0.0000 0.0000
1.0830 7.5773 0.0000
2.3896 1.9585 9.7036
Li Mn Co O
14 8 2 24
direct
0.0000 0.0000 0.0000
0.0011 0.5013 0.2532
0.1563 0.8426 0.7540
0.1590 0.8522 0.2410
0.3431 0.1474 0.7588
0.3444 0.1566 0.2467
0.4981 0.4993 0.7470
0.5000 0.0000 0.0000
0.5019 0.5007 0.2530
0.6556 0.8434 0.7533
0.6569 0.8526 0.2412
0.8410 0.1478 0.7590
0.8437 0.1574 0.2460
0.9989 0.4987 0.7468
0.1615 0.3224 0.0044
0.1697 0.3304 0.5013
0.3304 0.6696 0.4977
0.3385 0.6774 0.9959
0.6615 0.3226 0.0041
0.6696 0.3304 0.5023
0.8303 0.6696 0.4987
0.8385 0.6776 0.9956
0.0000 0.0000 0.5000
0.5000 0.0000 0.5000
0.0159 0.2370 0.3861
0.0316 0.7341 0.1084
0.1499 0.5834 0.8941
0.1540 0.0882 0.6171
0.1605 0.1033 0.1181
0.1856 0.5710 0.3798
0.3142 0.4288 0.6196
0.3395 0.8967 0.8822
0.3460 0.9110 0.3823
0.3503 0.4166 0.1059
0.4683 0.2660 0.8915
0.4834 0.7643 0.6132
0.5166 0.2357 0.3868
0.5317 0.7340 0.1085
0.6497 0.5834 0.8941
0.6540 0.0890 0.6177
0.6605 0.1033 0.1178
0.6858 0.5712 0.3804
0.8144 0.4290 0.6202
0.8395 0.8967 0.8819
0.8460 0.9118 0.3829
0.8501 0.4166 0.1059
0.9684 0.2659 0.8916
0.9841 0.7630 0.6139
```

***

A plane-wave DFT calculation with PBE+U was carried out for a geometry-optimized Li7Mn2Co3O12 structure.

```
Li7Mn2Co3O12
1.0
7.7428 -1.4710 0.0000
7.7428 1.4710 0.0000
-3.7412 0.0000 9.5392
Li Mn Co O
7 2 3 12
direct
0.0000 0.0000 0.0000
0.1620 0.1620 0.9252
0.1643 0.1643 0.4010
0.4998 0.4998 0.2288
0.5005 0.5005 0.7572
0.8356 0.8356 0.5692
0.8366 0.8366 0.0797
0.3382 0.3382 0.8345
0.6648 0.6648 0.6587
0.3234 0.3234 0.3183
0.6531 0.6531 0.1493
0.9908 0.9908 0.4812
0.0858 0.0858 0.2021
0.0930 0.0930 0.6959
0.2407 0.2407 0.6293
0.2534 0.2534 0.1293
0.4076 0.4076 0.0177
0.4189 0.4189 0.5316
0.5836 0.5836 0.4707
0.5889 0.5889 0.9598
0.7514 0.7514 0.3644
0.7556 0.7556 0.8536
0.9031 0.9031 0.7864
0.9186 0.9186 0.2943
```

***

A plane-wave DFT calculation with PBE+U was carried out for a geometry-optimized Li4Mn3CoO8 structure.

```
Li4Mn3CoO8
1.0
3.0861 0.0000 0.0000
0.2348 5.1184 0.0000
0.9457 2.2170 9.7230
Li Mn Co O
4 3 1 8
direct
0.0000 0.0000 0.0000
0.0000 0.5000 0.5000
0.4926 0.2482 0.7489
0.5074 0.7518 0.2511
0.0151 0.7502 0.7529
0.5000 0.0000 0.5000
0.9849 0.2498 0.2471
0.5000 0.5000 0.0000
0.0326 0.3996 0.8790
0.0339 0.1052 0.6278
0.4579 0.1439 0.1215
0.4759 0.6449 0.6244
0.5241 0.3551 0.3756
0.5421 0.8561 0.8785
0.9661 0.8948 0.3722
0.9674 0.6004 0.1210
```

***

A plane-wave DFT calculation with PBE+U was carried out for a geometry-optimized Li7Mn2Co3O12 structure.

```
Li7Mn2Co3O12
1.0
2.9764 0.0000 0.0000
-1.3007 7.5032 0.0000
-0.2987 -2.0176 9.6561
Li Mn Co O
7 2 3 12
direct
0.0000 0.0000 0.0000
0.0620 0.1570 0.7655
0.2509 0.5034 0.2591
0.4093 0.8411 0.7703
0.5617 0.1570 0.2538
0.7494 0.5023 0.7576
0.9080 0.8304 0.2570
0.1568 0.3321 0.5074
0.6502 0.3257 0.0092
0.3286 0.6807 0.0142
0.4849 0.9974 0.5089
0.8297 0.6684 0.5119
0.0215 0.0881 0.3905
0.1315 0.2614 0.1188
0.1876 0.4208 0.9078
0.2939 0.5753 0.6257
0.3644 0.7577 0.3946
0.4326 0.8916 0.1259
0.5460 0.1029 0.8910
0.5688 0.2390 0.6246
0.7448 0.4276 0.3907
0.7465 0.5789 0.1205
0.8902 0.7349 0.8967
0.9485 0.9074 0.6263
```

***

A plane-wave DFT calculation with PBE+U was carried out for a geometry-optimized Li7Mn4CoO12 structure.

```
Li7Mn4CoO12
1.0
2.9687 0.0000 0.0000
0.1210 5.0848 0.0000
0.8528 0.5094 14.4346
Li Mn Co O
7 4 1 12
direct
0.0000 0.0000 0.0000
0.9996 0.9995 0.4988
0.0017 0.6714 0.3382
0.4974 0.8274 0.1660
0.4991 0.4983 0.4993
0.5004 0.1709 0.8338
0.9958 0.3266 0.6610
0.4948 0.8419 0.6596
0.5000 0.4972 0.0023
0.5030 0.1581 0.3376
0.9909 0.6624 0.8316
0.0112 0.3340 0.1690
0.0167 0.6881 0.5928
0.0227 0.0325 0.2555
0.0309 0.6478 0.0865
0.4590 0.5217 0.7495
0.4703 0.1839 0.0857
0.4916 0.8519 0.4069
0.5063 0.1465 0.5899
0.5290 0.8145 0.9178
0.5375 0.4733 0.2474
0.9636 0.3439 0.9160
0.9750 0.9710 0.7423
0.9815 0.3117 0.4049
```

***

In eV/atom, the ΔE_f values for the records above are, in order, -2.0682 -2.0411 -1.8437 -2.0128 -1.8565 -2.0372.
In eV per atom, the distance to the lowest polymorph of the same formula values for the records above are, in order, 0.016 0.043 0.090 0.015 0.077 0.047.
In Å³/f.u., the calculated volume values for the records above are, in order, 215.5 217.5 217.3 153.6 215.6 217.9.